(1)
DFT (GGA-PBE) results for BaB5O10 after structural relaxation.

Calculated values
- Calculated total energy: -7.5769 eV/atom
- SG: No. 2
- Distance to the lowest polymorph of the same formula: 179 meV per atom
- Formation energy: -2.3778 eV per atom

a = 6.8403 Å, b = 6.8950 Å, c = 10.1590 Å
α = 93.79°, β = 92.22°, γ = 119.46°
Last column: nearest neighbours and their distance in Å.
Fractional positions:
Ba (0.6474, 0.3125, 0.8752)  6 O 2.65-2.94
Ba (0.3526, 0.6875, 0.1248)  6 O 2.65-2.94
B (0.7936, 0.5889, 0.4046)  3 O 1.34-1.47
B (0.2064, 0.4111, 0.5954)  3 O 1.34-1.47
B (0.0645, 0.8185, 0.8331)  3 O 1.36-1.41
B (0.9355, 0.1815, 0.1669)  3 O 1.36-1.41
B (0.7491, 0.8908, 0.8434)  3 O 1.37-1.39
B (0.2509, 0.1092, 0.1566)  3 O 1.37-1.39
B (0.1258, 0.2001, 0.7881)  4 O 1.47-1.51
B (0.8742, 0.7999, 0.2119)  4 O 1.47-1.51
B (0.6864, 0.3760, 0.1922)  4 O 1.45-1.52
B (0.3136, 0.6240, 0.8078)  4 O 1.45-1.52
O (0.1133, 0.2109, 0.6440)  2 B 1.34-1.47
O (0.8867, 0.7891, 0.3560)  2 B 1.34-1.47
O (0.5294, 0.8240, 0.8676)  2 B 1.38-1.51
O (0.4706, 0.1760, 0.1324)  2 B 1.38-1.51
O (0.7133, 0.5814, 0.1409)  2 B 1.47
O (0.2867, 0.4186, 0.8591)  2 B 1.47
O (0.2057, 0.0373, 0.8163)  2 B 1.36-1.51
O (0.7943, 0.9627, 0.1837)  2 B 1.36-1.51
O (0.8748, 0.3394, 0.1442)  2 B 1.37-1.52
O (0.1252, 0.6606, 0.8558)  2 B 1.37-1.52
O (0.8323, 0.7430, 0.8398)  2 B 1.39-1.41
O (0.1677, 0.2570, 0.1602)  2 B 1.39-1.41
O (0.6924, 0.3855, 0.3356)  2 B 1.35-1.45
O (0.3076, 0.6145, 0.6644)  2 B 1.35-1.45
O (0.8938, 0.1126, 0.8333)  2 B 1.37-1.50
O (0.1062, 0.8874, 0.1667)  2 B 1.37-1.50
O (0.8063, 0.6035, 0.5502)  1 O 1.35, 1 B 1.47
O (0.1937, 0.3965, 0.4498)  1 O 1.35, 1 B 1.47
O (0.7066, 0.4014, 0.5971)  1 O 1.35
O (0.2934, 0.5986, 0.4029)  1 O 1.35



(2)
DFT (GGA-PBE) results for Ba2BP2O8 after structural relaxation.

Calculated values
- Calculated total energy: -7.1651 eV/atom
- SG: No. 122
- Formation energy: -2.9012 eV per atom

a = 8.9819 Å, b = 8.9819 Å, c = 8.9819 Å
α = 131.70°, β = 131.70°, γ = 70.70°
Last column: nearest neighbours and their distance in Å.
Fractional positions:
Ba (0.2526, 0.6250, 0.1276)  8 O 2.86-3.06
Ba (0.4974, 0.1250, 0.8724)  8 O 2.86-3.06
Ba (0.3750, 0.5026, 0.6276)  8 O 2.86-3.06
Ba (0.8750, 0.7474, 0.3724)  8 O 2.86-3.06
B (0.7500, 0.2500, 0.5000)  4 O 1.47
B (0.0000, 0.0000, 0.0000)  4 O 1.47
P (0.7246, 0.6250, 0.5996)  4 O 1.53-1.59
P (0.0254, 0.1250, 0.4004)  4 O 1.53-1.59
P (0.3750, 0.9746, 0.0996)  4 O 1.53-1.59
P (0.8750, 0.2754, 0.9004)  4 O 1.53-1.59
O (0.8004, 0.4712, 0.6582)  1 B 1.47, 1 P 1.59
O (0.8129, 0.1421, 0.3418)  1 B 1.47, 1 P 1.59
O (0.5288, 0.1871, 0.3292)  1 B 1.47, 1 P 1.59
O (0.9496, 0.1079, 0.1708)  1 B 1.47, 1 P 1.59
O (0.8579, 0.1996, 0.6708)  1 B 1.47, 1 P 1.59
O (0.9371, 0.7788, 0.8292)  1 B 1.47, 1 P 1.59
O (0.2212, 0.0504, 0.1582)  1 B 1.47, 1 P 1.59
O (0.8921, 0.0629, 0.8418)  1 B 1.47, 1 P 1.59
O (0.6579, 0.5347, 0.3424)  1 P 1.53
O (0.1923, 0.3155, 0.6576)  1 P 1.53
O (0.4653, 0.8077, 0.1231)  1 P 1.53
O (0.0921, 0.9345, 0.3769)  1 P 1.53
O (0.6845, 0.3421, 0.8769)  1 P 1.53
O (0.5577, 0.7153, 0.6231)  1 P 1.53
O (0.2847, 0.9079, 0.8424)  1 P 1.53
O (0.0655, 0.4423, 0.1576)  1 P 1.53